[1]
Computed, not measured: LuCuPbS3 after structural relaxation at the GGA-PBE level of DFT.

Unit cell a=6.7812 b=6.7812 c=10.0173 alpha=90.00 beta=90.00 gamma=146.59
Closest atoms and distances in Å follow each position.
Positions (direct):
Cu: 0.5347 0.4653 0.7497  4 S 2.32-2.39
Cu: 0.4653 0.5347 0.2497  4 S 2.32-2.39
Pb: 0.7448 0.2552 0.2207  7 S 2.97-3.32
Pb: 0.2552 0.7448 0.7207  7 S 2.97-3.32
S: 0.0718 0.9282 0.2502  2 Cu 2.39, 2 Lu 2.67-2.68
S: 0.6364 0.3636 0.5594  1 Cu 2.32
S: 0.3636 0.6364 0.0594  1 Cu 2.32
S: 0.6365 0.3635 0.9400  1 Cu 2.32
S: 0.9282 0.0718 0.7502  2 Cu 2.39, 2 Lu 2.67-2.68
S: 0.3635 0.6365 0.4400  1 Cu 2.32
Lu: 0.0019 0.9981 0.9991  6 S 2.67-2.72
Lu: 0.9981 0.0019 0.4991  6 S 2.67-2.72

Results
* E (MP2020): -65.624 eV for the cell shown
* ΔH_f (0 K): -1345 meV/atom

[2]
Computed, not measured: Te2MoW2Se2S2 after structural relaxation at the GGA-PBE level of DFT.

Unit cell a=3.3492 b=3.3492 c=31.0062 alpha=90.00 beta=90.00 gamma=120.00
Closest atoms and distances in Å follow each position.
Positions (direct):
W: 0.3333 0.6667 0.5784  6 Te 2.71
W: 0.3333 0.6667 0.1157  6 S 2.46
Te: 0.6667 0.3333 0.6397  3 W 2.71
Te: 0.6667 0.3333 0.5169  3 W 2.71
Se: 0.3333 0.6667 0.2933  3 Mo 2.55
Se: 0.3333 0.6667 0.4006  3 Mo 2.55
S: 0.6667 0.3333 0.0666  3 W 2.46
S: 0.6667 0.3333 0.1647  3 W 2.46
Mo: 0.6667 0.3333 0.3470  6 Se 2.55

Results
* E (MP2020): -63.528 eV for the cell shown
* distance to the lowest polymorph of the same formula: 0.0280 eV/atom
* ΔH_f (0 K): -579 meV/atom

[3]
Computed, not measured: TiSiO4 after structural relaxation at the GGA-PBE level of DFT.

Unit cell a=9.7515 b=9.7515 c=9.7515 alpha=109.47 beta=109.47 gamma=109.47
Closest atoms and distances in Å follow each position.
Positions (direct):
O: 0.9647 0.7739 0.8697  1 Si 1.64
O: 0.7261 0.6908 0.0958  1 Si 1.64
O: 0.2261 0.5958 0.1908  1 Si 1.64
O: 0.3092 0.9050 0.0353  1 Si 1.64
O: 0.7261 0.5353 0.6303  1 Si 1.64
O: 0.9647 0.6908 0.0950  1 Si 1.64
O: 0.3697 0.5958 0.9050  1 Si 1.64
O: 0.4050 0.8092 0.5353  1 Si 1.64
O: 0.4050 0.0958 0.8697  1 Si 1.64
O: 0.8697 0.4050 0.0958  1 Si 1.64
O: 0.4042 0.8092 0.7739  1 Si 1.64
O: 0.5958 0.1908 0.2261  1 Si 1.64
O: 0.5353 0.6303 0.7261  1 Si 1.64
O: 0.8697 0.9647 0.7739  1 Si 1.64
O: 0.2739 0.4647 0.3697  1 Si 1.64
O: 0.8092 0.7739 0.4042  1 Si 1.64
O: 0.9050 0.0353 0.3092  1 Si 1.64
O: 0.0353 0.2261 0.1303  1 Si 1.64
O: 0.0950 0.6303 0.4042  1 Si 1.64
O: 0.6303 0.7261 0.5353  1 Si 1.64
O: 0.6908 0.0950 0.9647  1 Si 1.64
O: 0.9042 0.1303 0.5950  1 Si 1.64
O: 0.0353 0.3092 0.9050  1 Si 1.64
O: 0.4647 0.3697 0.2739  1 Si 1.64
O: 0.1908 0.2261 0.5958  1 Si 1.64
O: 0.5353 0.4050 0.8092  1 Si 1.64
O: 0.5950 0.9042 0.1303  1 Si 1.64
O: 0.5950 0.1908 0.4647  1 Si 1.64
O: 0.1303 0.0353 0.2261  1 Si 1.64
O: 0.2739 0.3092 0.9042  1 Si 1.64
O: 0.7739 0.8697 0.9647  1 Si 1.64
O: 0.4042 0.0950 0.6303  1 Si 1.64
O: 0.0950 0.9647 0.6908  1 Si 1.64
O: 0.8092 0.5353 0.4050  1 Si 1.64
O: 0.9050 0.3697 0.5958  1 Si 1.64
O: 0.7739 0.4042 0.8092  1 Si 1.64
O: 0.2261 0.1303 0.0353  1 Si 1.64
O: 0.3092 0.9042 0.2739  1 Si 1.64
O: 0.1303 0.5950 0.9042  1 Si 1.64
O: 0.0958 0.7261 0.6908  1 Si 1.64
O: 0.6303 0.4042 0.0950  1 Si 1.64
O: 0.9042 0.2739 0.3092  1 Si 1.64
O: 0.3697 0.2739 0.4647  1 Si 1.64
O: 0.6908 0.0958 0.7261  1 Si 1.64
O: 0.4647 0.5950 0.1908  1 Si 1.64
O: 0.5958 0.9050 0.3697  1 Si 1.64
O: 0.1908 0.4647 0.5950  1 Si 1.64
O: 0.0958 0.8697 0.4050  1 Si 1.64
Ti: 0.2500 0.8750 0.6250  8 O 2.14-2.15
Ti: 0.3750 0.7500 0.1250  8 O 2.14-2.15
Ti: 0.1250 0.2500 0.3750  8 O 2.14-2.15
Ti: 0.8750 0.6250 0.2500  8 O 2.14-2.15
Ti: 0.2500 0.3750 0.1250  8 O 2.14-2.15
Ti: 0.7500 0.6250 0.8750  8 O 2.14-2.15
Ti: 0.1250 0.3750 0.7500  8 O 2.14-2.15
Ti: 0.3750 0.1250 0.2500  8 O 2.14-2.15
Ti: 0.8750 0.7500 0.6250  8 O 2.14-2.15
Ti: 0.6250 0.2500 0.8750  8 O 2.14-2.15
Ti: 0.6250 0.8750 0.7500  8 O 2.14-2.15
Ti: 0.7500 0.1250 0.3750  8 O 2.14-2.15
Si: 0.8750 0.2500 0.1250  4 O 1.64
Si: 0.1250 0.7500 0.8750  4 O 1.64
Si: 0.1250 0.8750 0.2500  4 O 1.64
Si: 0.6250 0.7500 0.3750  4 O 1.64
Si: 0.7500 0.3750 0.6250  4 O 1.64
Si: 0.8750 0.1250 0.7500  4 O 1.64
Si: 0.3750 0.6250 0.7500  4 O 1.64
Si: 0.3750 0.2500 0.6250  4 O 1.64
Si: 0.7500 0.8750 0.1250  4 O 1.64
Si: 0.2500 0.6250 0.3750  4 O 1.64
Si: 0.2500 0.1250 0.8750  4 O 1.64
Si: 0.6250 0.3750 0.2500  4 O 1.64

Results
* E (MP2020): -610.703 eV for the cell shown
* ΔH_f (0 K): -2963 meV/atom

[4]
Computed, not measured: Na2CdSnS4 after structural relaxation at the GGA-PBE level of DFT.

Unit cell a=6.9152 b=6.9152 c=6.4667 alpha=63.22 beta=63.22 gamma=98.77
Closest atoms and distances in Å follow each position.
Positions (direct):
S: 0.9241 0.6528 0.9719  1 Sn 2.42, 1 Cd 2.57
S: 0.6133 0.8459 0.5597  1 Sn 2.43, 1 Cd 2.56
S: 0.3472 0.0759 0.0281  1 Sn 2.42, 1 Cd 2.57
S: 0.1541 0.3867 0.4403  1 Sn 2.43, 1 Cd 2.56
Cd: 0.0112 0.9888 0.5000  4 S 2.56-2.57
Na: 0.5240 0.4760 0.5000  4 S 2.74-2.77
Na: 0.7777 0.2223 0.0000  4 S 2.84-2.89
Sn: 0.2613 0.7387 0.0000  4 S 2.42-2.43

Results
* E (MP2020): -32.415 eV for the cell shown
* ΔH_f (0 K): -1036 meV/atom
* piezoelectric modulus e_max: 0.4 C/m2

[5]
Computed, not measured: Ca10Ti8NbAlSi10O50 after structural relaxation at the GGA-PBE level of DFT.

Unit cell a=6.6668 b=7.1345 c=22.1672 alpha=86.64 beta=98.45 gamma=114.08
Closest atoms and distances in Å follow each position.
Positions (direct):
Ti: 0.3004 0.5009 0.6001  6 O 1.88-2.05
Ti: 0.3004 0.0010 0.5998  6 O 1.88-2.05
Ti: 0.8990 0.0033 0.8006  6 O 1.86-2.05
Ti: 0.1010 0.9967 0.1994  6 O 1.86-2.05
Ti: 0.8983 0.4984 0.7999  6 O 1.87-2.05
Ti: 0.6996 0.9990 0.4002  6 O 1.88-2.05
Ti: 0.6996 0.4991 0.3999  6 O 1.88-2.05
Ti: 0.1017 0.5016 0.2001  6 O 1.87-2.05
Ca: 0.1655 0.2478 0.3314  5 O 2.28-2.48
Ca: 0.4341 0.7352 0.8686  6 O 2.29-2.53
Ca: 0.8345 0.7522 0.6686  5 O 2.28-2.48
Ca: 0.6357 0.7486 0.2687  5 O 2.28-2.47
Ca: 0.0220 0.7377 0.0686  6 O 2.28-2.55
Ca: 0.2350 0.7501 0.4686  5 O 2.28-2.47
Ca: 0.3643 0.2514 0.7313  5 O 2.28-2.47
Ca: 0.7650 0.2499 0.5314  5 O 2.28-2.47
Ca: 0.9780 0.2623 0.9314  6 O 2.28-2.55
Ca: 0.5659 0.2648 0.1314  6 O 2.29-2.53
O: 0.0260 0.0906 0.4253  1 Si 1.66
O: 0.1999 0.5920 0.7742  1 Si 1.65
O: 0.4273 0.0927 0.2249  1 Si 1.65
O: 0.1599 0.1182 0.1149  1 Si 1.65
O: 0.5968 0.4116 0.8252  1 Si 1.65
O: 0.1661 0.9054 0.9746  1 Si 1.67
O: 0.2246 0.0964 0.8258  1 Si 1.65
O: 0.3986 0.4060 0.4256  1 Si 1.64
O: 0.0386 0.6136 0.8859  1 Si 1.66
O: 0.0008 0.5903 0.3743  1 Si 1.65
O: 0.3604 0.3860 0.9163  1 Si 1.64
O: 0.3141 0.2520 0.6275  2 Ti 1.88-1.89
O: 0.5151 0.2563 0.0271  1 Al 1.84, 1 Nb 1.92
O: 0.7931 0.5901 0.9752  1 Si 1.63
O: 0.5575 0.3818 0.3148  1 Si 1.65
O: 0.2069 0.4099 0.0248  1 Si 1.63
O: 0.6396 0.6140 0.0837  1 Si 1.64
O: 0.8419 0.6148 0.4853  1 Si 1.66
O: 0.7138 0.2486 0.4276  2 Ti 1.88-1.89
O: 0.3733 0.9058 0.3748  1 Si 1.65
O: 0.4849 0.7437 0.9729  1 Al 1.84, 1 Nb 1.92
O: 0.0890 0.7496 0.1724  2 Ti 1.86-1.87
O: 0.4032 0.5884 0.1748  1 Si 1.65
O: 0.9551 0.1165 0.7146  1 Si 1.65
O: 0.8339 0.0946 0.0254  1 Si 1.67
O: 0.4444 0.8831 0.0866  1 Si 1.67
O: 0.6859 0.7480 0.3725  2 Ti 1.88-1.89
O: 0.7566 0.3851 0.7148  1 Si 1.66
O: 0.8885 0.7526 0.7725  2 Ti 1.90
O: 0.0449 0.8835 0.2854  1 Si 1.65
O: 0.6267 0.0942 0.6252  1 Si 1.65
O: 0.2434 0.6149 0.2852  1 Si 1.66
O: 0.7754 0.9036 0.1742  1 Si 1.65
O: 0.9110 0.2504 0.8276  2 Ti 1.86-1.87
O: 0.6434 0.8833 0.4855  1 Si 1.66
O: 0.1115 0.2474 0.2275  2 Ti 1.90
O: 0.5556 0.1169 0.9134  1 Si 1.67
O: 0.3566 0.1167 0.5145  1 Si 1.66
O: 0.4425 0.6182 0.6852  1 Si 1.65
O: 0.8401 0.8818 0.8851  1 Si 1.65
O: 0.5727 0.9073 0.7751  1 Si 1.65
O: 0.1581 0.3852 0.5147  1 Si 1.66
O: 0.2862 0.7514 0.5724  2 Ti 1.88-1.89
O: 0.9992 0.4097 0.6257  1 Si 1.65
O: 0.6014 0.5940 0.5744  1 Si 1.64
O: 0.7556 0.1132 0.3144  1 Si 1.65
O: 0.9740 0.9094 0.5747  1 Si 1.66
O: 0.8001 0.4080 0.2258  1 Si 1.65
O: 0.9614 0.3864 0.1141  1 Si 1.66
O: 0.2444 0.8868 0.6856  1 Si 1.65
Si: 0.6363 0.2482 0.2721  4 O 1.65
Si: 0.5658 0.7451 0.1278  4 O 1.64-1.67
Si: 0.1642 0.7488 0.3278  4 O 1.65-1.66
Si: 0.0472 0.2567 0.0718  4 O 1.63-1.67
Si: 0.7636 0.7492 0.5279  4 O 1.64-1.66
Si: 0.3637 0.7518 0.7279  4 O 1.65
Si: 0.2364 0.2508 0.4721  4 O 1.64-1.66
Si: 0.4342 0.2549 0.8722  4 O 1.64-1.67
Si: 0.9528 0.7433 0.9282  4 O 1.63-1.67
Si: 0.8358 0.2512 0.6722  4 O 1.65-1.66
Al: 0.5000 0.5000 0.0000  6 O 1.84-2.01
Nb: 0.5000 0.0000 0.0000  6 O 1.92-2.07

Results
* E (MP2020): -674.947 eV for the cell shown
* ΔH_f (0 K): -3453 meV/atom

[6]
Computed, not measured: LiAl4Zn2O8 after structural relaxation at the GGA-PBE level of DFT.

Unit cell a=6.2364 b=5.6953 c=6.2364 alpha=62.83 beta=55.26 gamma=62.83
Closest atoms and distances in Å follow each position.
Positions (direct):
Al: 0.1202 0.1298 0.1202  4 O 1.87-1.93
Al: 0.4485 0.5561 0.4485  5 O 1.86-2.01
Al: 0.9053 0.8447 0.9053  4 O 1.78-1.85
Al: 0.4485 0.0469 0.4485  5 O 1.86-2.01
O: 0.2785 0.7571 0.7074  3 Al 1.85-1.92
O: 0.2520 0.7544 0.2520  2 Al 1.86-1.87
O: 0.7299 0.2366 0.2969  1 Li 1.89, 3 Al 1.93-2.01
O: 0.7074 0.7571 0.2785  3 Al 1.85-1.92
O: 0.2969 0.2366 0.7299  1 Li 1.89, 3 Al 1.93-2.01
O: 0.7881 0.7168 0.7881  1 Al 1.78, 1 Li 1.83
O: 0.7881 0.2069 0.7881  1 Al 1.78, 1 Li 1.83
O: 0.2520 0.2417 0.2520  2 Al 1.86-1.87
Zn: 0.9608 0.5213 0.4965  5 O 2.06-2.23
Zn: 0.4965 0.5213 0.9608  5 O 2.06-2.23
Li: 0.6628 0.0872 0.6628  4 O 1.83-1.89

Results
* E (MP2020): -96.908 eV for the cell shown
* distance to the lowest polymorph of the same formula: 0.0129 eV/atom
* ΔH_f (0 K): -2528 meV/atom

no.,calculated volume (Å³ per atom),total moment (μB per formula unit),final energy (eV/atom)
1,21.14,0.000,-5.2171
2,33.47,0.000,-6.9469
3,9.91,0.000,-8.0240
4,27.58,0.000,-3.8004
5,11.90,0.001,-8.0075
6,10.40,0.000,-6.0941